# 1
Entry from the Materials Project: K4MgCu3F12 after structural relaxation (meta-GGA r2SCAN).

Structure (CIF):
```
data_K4MgCu3F12
_cell_length_a 6.928
_cell_length_b 6.928
_cell_length_c 6.928
_cell_angle_alpha 109.47
_cell_angle_beta 109.47
_cell_angle_gamma 109.47
_space_group_name_H-M_alt 'P 1'
_space_group_IT_number 1
loop_
_space_group_symop_operation_xyz
'x,y,z'
loop_
_atom_site_label
_atom_site_type_symbol
_atom_site_fract_x
_atom_site_fract_y
_atom_site_fract_z
F1 F 0.750 0.500 0.250
F2 F 0.751 0.751 0.000
F3 F 0.249 0.000 0.249
F4 F 0.500 0.250 0.750
F5 F 0.249 0.249 0.000
F6 F 0.750 0.250 0.500
F7 F 0.500 0.750 0.250
F8 F 0.250 0.750 0.500
F9 F 0.751 0.000 0.751
K1 K 0.500 0.000 0.000
Mg1 Mg 0.000 0.000 0.000
F10 F 0.000 0.249 0.249
Cu1 Cu 0.500 0.500 0.000
F11 F 0.250 0.500 0.750
Cu2 Cu 0.000 0.500 0.500
Cu3 Cu 0.500 0.000 0.500
K2 K 0.000 0.000 0.500
F12 F 0.000 0.751 0.751
K3 K 0.000 0.500 0.000
K4 K 0.500 0.500 0.500
```

Summary:
Total DFT energy (no corrections) = -7.5633 eV per atom
Calculated formation energy = -2.649 eV per atom
Volume = 12.801 Å³/atom



# 2
Entry from the Materials Project: LiCu3F10 after structural relaxation (meta-GGA r2SCAN).

Structure (CIF):
```
data_LiCu3F10
_cell_length_a 7.173
_cell_length_b 3.754
_cell_length_c 14.026
_cell_angle_alpha 89.84
_cell_angle_beta 90.00
_cell_angle_gamma 90.00
_space_group_name_H-M_alt 'P 1'
_space_group_IT_number 1
loop_
_space_group_symop_operation_xyz
'x,y,z'
loop_
_atom_site_label
_atom_site_type_symbol
_atom_site_fract_x
_atom_site_fract_y
_atom_site_fract_z
F1 F 0.223 0.013 0.343
F2 F 0.399 0.519 0.624
Li1 Li 0.600 0.053 0.930
F3 F 0.893 0.017 0.658
F4 F 0.222 0.022 0.534
F5 F 0.236 0.018 0.729
F6 F 0.082 0.518 0.027
F7 F 0.866 0.019 0.400
F8 F 0.777 0.013 0.843
F9 F 0.003 0.517 0.782
Cu1 Cu 0.913 0.017 0.528
F10 F 0.432 0.019 0.218
Cu2 Cu 0.000 0.017 0.782
F11 F 0.764 0.018 0.229
F12 F 0.107 0.017 0.158
Cu3 Cu 0.087 0.017 0.028
F13 F 0.422 0.022 0.028
F14 F 0.778 0.022 0.034
F15 F 0.918 0.518 0.527
F16 F 0.134 0.019 0.900
Cu4 Cu 0.402 0.019 0.627
F17 F 0.578 0.022 0.528
F18 F 0.601 0.519 0.124
F19 F 0.997 0.517 0.282
F20 F 0.568 0.019 0.718
Cu5 Cu 0.000 0.017 0.282
Li2 Li 0.400 0.053 0.430
Cu6 Cu 0.598 0.019 0.127
```

Summary:
Total DFT energy (no corrections) = -6.4081 eV per atom
Calculated formation energy = -1.680 eV per atom
Volume = 13.491 Å³/atom



# 3
Entry from the Materials Project: LiCuF2 after structural relaxation (meta-GGA r2SCAN).

Structure (CIF):
```
data_LiCuF2
_cell_length_a 2.851
_cell_length_b 2.851
_cell_length_c 6.670
_cell_angle_alpha 64.69
_cell_angle_beta 64.69
_cell_angle_gamma 60.00
_space_group_name_H-M_alt 'P 1'
_space_group_IT_number 1
loop_
_space_group_symop_operation_xyz
'x,y,z'
loop_
_atom_site_label
_atom_site_type_symbol
_atom_site_fract_x
_atom_site_fract_y
_atom_site_fract_z
Li1 Li 0.000 0.000 0.500
F1 F 0.210 0.210 0.685
F2 F 0.790 0.790 0.315
Cu1 Cu 0.000 0.000 0.000
```

Summary:
Total DFT energy (no corrections) = -7.1013 eV per atom
Calculated formation energy = -2.230 eV per atom
Volume = 10.206 Å³/atom



# 4
Entry from the Materials Project: Li2CuF6 after structural relaxation (meta-GGA r2SCAN).

Structure (CIF):
```
data_Li2CuF6
_cell_length_a 4.594
_cell_length_b 4.594
_cell_length_c 8.554
_cell_angle_alpha 90.00
_cell_angle_beta 90.00
_cell_angle_gamma 90.00
_space_group_name_H-M_alt 'P 1'
_space_group_IT_number 1
loop_
_space_group_symop_operation_xyz
'x,y,z'
loop_
_atom_site_label
_atom_site_type_symbol
_atom_site_fract_x
_atom_site_fract_y
_atom_site_fract_z
F1 F 0.814 0.814 0.345
Li1 Li 0.000 0.000 0.159
Li2 Li 0.500 0.500 0.341
F2 F 0.686 0.314 0.155
F3 F 0.186 0.186 0.345
F4 F 0.186 0.186 0.655
Li3 Li 0.500 0.500 0.659
F5 F 0.707 0.293 0.500
F6 F 0.314 0.686 0.845
Cu1 Cu 0.500 0.500 0.000
F7 F 0.793 0.793 0.000
F8 F 0.207 0.207 0.000
F9 F 0.686 0.314 0.845
Li4 Li 0.000 0.000 0.841
F10 F 0.314 0.686 0.155
Cu2 Cu 0.000 0.000 0.500
F11 F 0.814 0.814 0.655
F12 F 0.293 0.707 0.500
```

Summary:
Total DFT energy (no corrections) = -5.9618 eV per atom
Calculated formation energy = -2.142 eV per atom
Volume = 10.029 Å³/atom



# 5
Entry from the Materials Project: MgCuF5 after structural relaxation (meta-GGA r2SCAN).

Structure (CIF):
```
data_MgCuF5
_cell_length_a 9.511
_cell_length_b 4.974
_cell_length_c 7.086
_cell_angle_alpha 70.70
_cell_angle_beta 90.00
_cell_angle_gamma 90.00
_space_group_name_H-M_alt 'P 1'
_space_group_IT_number 1
loop_
_space_group_symop_operation_xyz
'x,y,z'
loop_
_atom_site_label
_atom_site_type_symbol
_atom_site_fract_x
_atom_site_fract_y
_atom_site_fract_z
F1 F 0.908 0.874 0.717
F2 F 0.856 0.784 0.149
F3 F 0.383 0.586 0.929
F4 F 0.181 0.857 0.653
Mg1 Mg 0.986 0.473 0.245
F5 F 0.092 0.126 0.283
F6 F 0.356 0.216 0.351
Mg2 Mg 0.514 0.473 0.745
Mg3 Mg 0.486 0.527 0.255
F7 F 0.895 0.351 0.000
Cu1 Cu 0.257 0.898 0.891
F8 F 0.883 0.414 0.571
F9 F 0.117 0.586 0.429
F10 F 0.105 0.649 0.000
F11 F 0.144 0.216 0.851
Cu2 Cu 0.243 0.898 0.391
Mg4 Mg 0.014 0.527 0.755
F12 F 0.605 0.351 0.500
F13 F 0.681 0.143 0.847
F14 F 0.408 0.126 0.783
Cu3 Cu 0.743 0.102 0.109
F15 F 0.319 0.857 0.153
F16 F 0.617 0.414 0.071
F17 F 0.592 0.874 0.217
F18 F 0.819 0.143 0.347
F19 F 0.644 0.784 0.649
F20 F 0.395 0.649 0.500
Cu4 Cu 0.757 0.102 0.609
```

Summary:
Total DFT energy (no corrections) = -6.8845 eV per atom
Calculated formation energy = -2.506 eV per atom
Volume = 11.298 Å³/atom



# 6
Entry from the Materials Project: MgCuF5 after structural relaxation (meta-GGA r2SCAN).

Structure (CIF):
```
data_MgCuF5
_cell_length_a 5.135
_cell_length_b 5.135
_cell_length_c 7.134
_cell_angle_alpha 69.75
_cell_angle_beta 69.75
_cell_angle_gamma 72.20
_space_group_name_H-M_alt 'P 1'
_space_group_IT_number 1
loop_
_space_group_symop_operation_xyz
'x,y,z'
loop_
_atom_site_label
_atom_site_type_symbol
_atom_site_fract_x
_atom_site_fract_y
_atom_site_fract_z
Mg1 Mg 0.535 0.465 0.250
F1 F 0.111 0.889 0.750
F2 F 0.205 0.284 0.865
Mg2 Mg 0.465 0.535 0.750
F3 F 0.716 0.795 0.635
F4 F 0.282 0.673 0.463
Cu1 Cu 0.000 0.000 0.500
F5 F 0.673 0.282 0.963
F6 F 0.795 0.716 0.135
F7 F 0.327 0.718 0.037
F8 F 0.718 0.327 0.537
Cu2 Cu 0.000 0.000 0.000
F9 F 0.284 0.205 0.365
F10 F 0.889 0.111 0.250
```

Summary:
Total DFT energy (no corrections) = -6.8868 eV per atom
Calculated formation energy = -2.509 eV per atom
Volume = 11.559 Å³/atom



# 7
Entry from the Materials Project: MnCuF6 after structural relaxation (meta-GGA r2SCAN).

Structure (CIF):
```
data_MnCuF6
_cell_length_a 4.833
_cell_length_b 4.903
_cell_length_c 5.325
_cell_angle_alpha 60.95
_cell_angle_beta 61.54
_cell_angle_gamma 60.85
_space_group_name_H-M_alt 'P 1'
_space_group_IT_number 1
loop_
_space_group_symop_operation_xyz
'x,y,z'
loop_
_atom_site_label
_atom_site_type_symbol
_atom_site_fract_x
_atom_site_fract_y
_atom_site_fract_z
Mn1 Mn 0.500 0.500 0.500
F1 F 0.266 0.607 0.262
F2 F 0.734 0.393 0.738
F3 F 0.134 0.728 0.732
Cu1 Cu 0.000 0.000 0.000
F4 F 0.386 0.123 0.745
F5 F 0.614 0.877 0.255
F6 F 0.866 0.272 0.268
```

Summary:
Total DFT energy (no corrections) = -7.8623 eV per atom
Calculated formation energy = -2.326 eV per atom
Volume = 11.432 Å³/atom



# 8
Entry from the Materials Project: NaCu3F7 after structural relaxation (meta-GGA r2SCAN).

Structure (CIF):
```
data_NaCu3F7
_cell_length_a 7.042
_cell_length_b 7.042
_cell_length_c 6.877
_cell_angle_alpha 63.90
_cell_angle_beta 63.90
_cell_angle_gamma 62.00
_space_group_name_H-M_alt 'P 1'
_space_group_IT_number 1
loop_
_space_group_symop_operation_xyz
'x,y,z'
loop_
_atom_site_label
_atom_site_type_symbol
_atom_site_fract_x
_atom_site_fract_y
_atom_site_fract_z
Cu1 Cu 0.500 0.000 0.000
F1 F 0.029 0.630 0.680
Cu2 Cu 0.500 0.000 0.500
F2 F 0.312 0.379 0.393
Na1 Na 0.500 0.500 0.000
Cu3 Cu 0.000 0.500 0.500
F3 F 0.688 0.621 0.607
F4 F 0.303 0.885 0.502
F5 F 0.971 0.370 0.320
F6 F 0.370 0.971 0.820
Na2 Na 0.500 0.500 0.500
F7 F 0.115 0.697 0.998
F8 F 0.621 0.688 0.107
Cu4 Cu 0.000 0.500 0.000
F9 F 0.889 0.111 0.750
F10 F 0.697 0.115 0.498
Cu5 Cu 0.000 0.000 0.000
F11 F 0.111 0.889 0.250
F12 F 0.379 0.312 0.893
F13 F 0.885 0.303 0.002
F14 F 0.630 0.029 0.180
Cu6 Cu 0.000 0.000 0.500
```

Summary:
Total DFT energy (no corrections) = -7.3078 eV per atom
Calculated formation energy = -2.036 eV per atom
Volume = 11.745 Å³/atom



What are the ρ values for these records? In order: 3.89, 3.41, 4.41, 3.52, 3.84, 3.75, 4.22, 4.46 g/cm3.